No. 1
The following is a DFT calculation (PBE-GGA) of an optimized crystal structure of Li11Ta37N48.

Structure (POSCAR):
```
Li11Ta37N48
1.0
5.2645 0.0000 0.0000
-2.6323 4.5592 0.0000
0.0000 0.0000 40.3523
Li Ta N
11 37 48
Direct
0.0000 0.0000 0.0000
0.0000 0.0000 0.1245
0.0000 0.0000 0.2484
0.0000 0.0000 0.3724
0.0000 0.0000 0.4982
0.0000 0.0000 0.6244
0.0000 0.0000 0.7497
0.3333 0.6667 0.2483
0.3333 0.6667 0.8757
0.6667 0.3333 0.0008
0.6667 0.3333 0.6244
0.0000 0.0000 0.8762
0.9995 0.3262 0.4358
0.0033 0.6703 0.8125
0.0052 0.3309 0.1868
0.0057 0.6740 0.3103
0.3260 0.3316 0.3103
0.3258 0.9948 0.1868
0.3266 0.0005 0.4358
0.3304 0.3256 0.0622
0.3297 0.3331 0.8125
0.3314 0.0057 0.6864
0.3310 0.3255 0.5618
0.3333 0.6667 0.0005
0.3333 0.6667 0.1236
0.3333 0.6667 0.3719
0.3333 0.6667 0.5002
0.3333 0.6667 0.6242
0.3333 0.6667 0.7478
0.3335 0.0037 0.9383
0.6667 0.3333 0.1253
0.6667 0.3333 0.2482
0.6667 0.3333 0.3721
0.6667 0.3333 0.4998
0.6667 0.3333 0.7493
0.6667 0.3333 0.8761
0.6669 0.9967 0.8125
0.6684 0.9943 0.3103
0.6691 0.6742 0.1868
0.6702 0.6665 0.9383
0.6744 0.0048 0.0622
0.6743 0.6686 0.6864
0.6738 0.6734 0.4358
0.6745 0.0055 0.5618
0.9943 0.3257 0.6864
0.9945 0.6690 0.5618
0.9952 0.6696 0.0622
0.9963 0.3298 0.9383
0.0002 0.3306 0.0951
0.0005 0.6651 0.4688
0.0005 0.6712 0.7193
0.0006 0.3367 0.8453
0.0011 0.6658 0.4030
0.0027 0.3291 0.5288
0.0064 0.3415 0.0307
0.0071 0.3421 0.5935
0.0068 0.6677 0.9701
0.0076 0.6659 0.6546
0.0081 0.6665 0.9056
0.3264 0.9973 0.5288
0.3288 0.0038 0.3431
0.3288 0.3293 0.7193
0.3304 0.9998 0.0951
0.3309 0.0011 0.7796
0.3307 0.3302 0.1541
0.3323 0.3390 0.9701
0.3335 0.3416 0.9056
0.3342 0.3353 0.4030
0.3341 0.3417 0.6546
0.3349 0.3353 0.4688
0.3350 0.9929 0.5935
0.3351 0.9936 0.0307
0.3360 0.9994 0.8453
0.3404 0.3341 0.2184
0.3417 0.0061 0.2787
0.6579 0.6650 0.5935
0.6583 0.9924 0.6546
0.6584 0.9919 0.9056
0.6585 0.6649 0.0307
0.6610 0.9932 0.9701
0.6633 0.6640 0.8453
0.6643 0.6583 0.2787
0.6647 0.9995 0.4688
0.6647 0.9989 0.4030
0.6659 0.0063 0.2184
0.6694 0.6696 0.0951
0.6698 0.0006 0.1541
0.6702 0.6691 0.7796
0.6707 0.9995 0.7193
0.6709 0.6736 0.5288
0.6750 0.6712 0.3431
0.9939 0.3357 0.2787
0.9937 0.6596 0.2184
0.9962 0.3250 0.3431
0.9989 0.3298 0.7796
0.9994 0.6693 0.1541
```

Values from the calculation:
Calculated total energy = -10.100 eV/atom
Spin magnetization = 0.1 μB/f.u.
Formation energy from the elements = -12254 kJ/mol of formula units


No. 2
The following is a DFT calculation (PBE-GGA) of an optimized crystal structure of Na15Ca8Ta4P15S3O72.

Structure (POSCAR):
```
Na15Ca8Ta4P15S3O72
1.0
9.2041 0.0000 0.0000
4.5844 7.9993 0.0000
0.0002 0.0009 22.7686
Na Ca Ta P S O
15 8 4 15 3 72
Direct
0.0000 0.0000 0.0000
0.0023 0.3053 0.1672
0.0050 0.6585 0.4230
0.3115 0.3663 0.9997
0.3183 0.0304 0.5802
0.3299 0.0166 0.0814
0.3533 0.6921 0.1654
0.3628 0.3066 0.6664
0.6152 0.0698 0.1687
0.6275 0.6933 0.6650
0.6593 0.3468 0.2607
0.6621 0.0074 0.5040
0.6670 0.3459 0.7613
0.9788 0.6869 0.9229
0.9884 0.0681 0.6734
0.3224 0.0248 0.2392
0.3283 0.0226 0.7386
0.6548 0.3652 0.5930
0.6565 0.3571 0.0927
0.6580 0.3620 0.3987
0.6590 0.3574 0.8986
0.9890 0.6856 0.0634
0.9949 0.6764 0.5616
0.0012 0.6877 0.2754
0.3275 0.0177 0.9273
0.3300 0.0204 0.4267
0.9837 0.6875 0.7756
0.0299 0.0103 0.8290
0.0310 0.3261 0.3293
0.2849 0.3986 0.1693
0.3148 0.3280 0.8301
0.3211 0.7260 0.3291
0.3548 0.6692 0.9995
0.3576 0.3410 0.4975
0.6264 0.7248 0.8288
0.6347 0.0104 0.3292
0.6472 0.0522 0.9984
0.6468 0.6731 0.4984
0.7063 0.9796 0.6681
0.9767 0.3406 0.9979
0.9885 0.9801 0.1689
0.9900 0.3981 0.6710
0.2795 0.6851 0.6701
0.7052 0.6844 0.1715
0.9757 0.0523 0.4978
0.0145 0.4795 0.6174
0.0219 0.4802 0.0000
0.0261 0.8385 0.8272
0.0283 0.5012 0.3285
0.0958 0.2433 0.2701
0.1019 0.0256 0.7708
0.1407 0.2184 0.6744
0.1431 0.5029 0.8290
0.1453 0.0370 0.4864
0.1465 0.9978 0.1727
0.1476 0.7217 0.3284
0.1544 0.1714 0.9850
0.1563 0.9905 0.8809
0.1623 0.2145 0.3791
0.1706 0.5155 0.2228
0.1709 0.7073 0.0009
0.1807 0.4893 0.4987
0.1842 0.7050 0.6167
0.1856 0.6743 0.7231
0.1898 0.4758 0.1127
0.2948 0.2197 0.8815
0.2980 0.8550 0.3793
0.3059 0.8316 0.6742
0.3101 0.2203 0.1733
0.3326 0.2412 0.7717
0.3359 0.7932 0.2701
0.3412 0.8449 0.9831
0.3428 0.1746 0.4838
0.4423 0.6182 0.0602
0.4455 0.5275 0.6694
0.4469 0.5390 0.9532
0.4534 0.3970 0.1732
0.4537 0.2964 0.5575
0.4569 0.3601 0.8406
0.4606 0.5516 0.3395
0.4640 0.3484 0.4491
0.4785 0.8505 0.4837
0.4843 0.0394 0.9821
0.5185 0.8540 0.8788
0.5262 0.9900 0.3811
0.5302 0.9976 0.6719
0.5334 0.8314 0.1750
0.5453 0.0295 0.2713
0.5453 0.7919 0.7695
0.5980 0.1509 0.0577
0.6141 0.6205 0.5596
0.6603 0.5513 0.8394
0.6681 0.1506 0.3413
0.6742 0.5514 0.4507
0.6764 0.1489 0.9512
0.6970 0.5268 0.1711
0.6976 0.1511 0.6730
0.7805 0.7030 0.1177
0.7850 0.7218 0.4986
0.7873 0.8885 0.6113
0.7987 0.8760 0.0019
0.8023 0.7236 0.8291
0.8078 0.8375 0.3272
0.8101 0.6756 0.2239
0.8224 0.3967 0.6723
0.8241 0.8654 0.7219
0.8259 0.1514 0.1735
0.8564 0.1526 0.8394
0.8580 0.3565 0.3407
0.8599 0.1418 0.4503
0.8602 0.3623 0.9489
0.9157 0.1428 0.5551
0.9210 0.3011 0.0577
0.9833 0.8666 0.2226
0.9837 0.5121 0.7262
0.9970 0.8825 0.5015
0.9993 0.8884 0.1122
```

Values from the calculation:
Calculated total energy = -6.958 eV/atom
Spin magnetization = 0.0 μB/f.u.
Formation energy from the elements = -31880 kJ/mol of formula units


No. 3
The following is a DFT calculation (PBE-GGA) of an optimized crystal structure of TaMoN.

Structure (POSCAR):
```
TaMoN
1.0
3.0947 0.0000 0.0000
0.0000 3.0947 0.0000
0.0000 0.0000 7.8660
Ta Mo N
2 2 2
Direct
0.2500 0.2500 0.1648
0.7500 0.7500 0.8352
0.2500 0.2500 0.5974
0.7500 0.7500 0.4026
0.2500 0.2500 0.8764
0.7500 0.7500 0.1236
```

Values from the calculation:
Calculated total energy = -11.109 eV/atom
Spin magnetization = 0.0 μB/f.u.
Formation energy from the elements = -256 kJ/mol of formula units


No. 4
The following is a DFT calculation (PBE-GGA) of an optimized crystal structure of Al2OsRh.

Structure (POSCAR):
```
Al2OsRh
1.0
6.0266 0.0000 0.0000
0.0000 6.0266 0.0000
0.0000 0.0000 6.0266
Al Os Rh
8 4 4
Direct
0.2500 0.2500 0.2500
0.2500 0.2500 0.7500
0.2500 0.7500 0.2500
0.2500 0.7500 0.7500
0.7500 0.2500 0.2500
0.7500 0.2500 0.7500
0.7500 0.7500 0.2500
0.7500 0.7500 0.7500
0.0000 0.0000 0.0000
0.0000 0.5000 0.5000
0.5000 0.0000 0.5000
0.5000 0.5000 0.0000
0.0000 0.0000 0.5000
0.0000 0.5000 0.0000
0.5000 0.0000 0.0000
0.5000 0.5000 0.5000
```

Values from the calculation:
Calculated total energy = -7.278 eV/atom
Formation energy from the elements = -292 kJ/mol of formula units


Look up the calculated total energy of the second one.
-6.958 eV/atom